Record 1
First-principles (meta-GGA r2SCAN) data for an optimized crystal structure of CaAlSi, as listed in the Materials Project database. Values from VASP.

## Properties
E_form (eV/f.u.): -1.338

```
&SYSTEM
  ibrav = 0, nat = 15, ntyp = 3
/
ATOMIC_SPECIES
Ca 40.08 Ca.upf
Al 26.98 Al.upf
Si 28.09 Si.upf
ATOMIC_POSITIONS crystal
Ca 0.0000 0.0000 0.0000
Ca 0.0000 0.0000 0.1981
Ca 0.0000 0.0000 0.4001
Ca 0.0000 0.0000 0.5990
Ca 0.0000 0.0000 0.7980
Al 0.3333 0.6667 0.5092
Al 0.3333 0.6667 0.6886
Al 0.6667 0.3333 0.0985
Al 0.6667 0.3333 0.2926
Al 0.6667 0.3333 0.9059
Si 0.3333 0.6667 0.0995
Si 0.3333 0.6667 0.3048
Si 0.3333 0.6667 0.8929
Si 0.6667 0.3333 0.4935
Si 0.6667 0.3333 0.7044
CELL_PARAMETERS angstrom
4.1906 0.0000 0.0000
-2.0953 3.6291 0.0000
0.0000 0.0000 21.9461
```



Record 2
First-principles (meta-GGA r2SCAN) data for an optimized crystal structure of SrCaAl4, as listed in the Materials Project database. Values from VASP.

## Properties
E_form (eV/f.u.): -1.825

```
&SYSTEM
  ibrav = 0, nat = 6, ntyp = 3
/
ATOMIC_SPECIES
Sr 87.62 Sr.upf
Ca 40.08 Ca.upf
Al 26.98 Al.upf
ATOMIC_POSITIONS crystal
Sr 0.0000 0.0000 0.0000
Ca 0.7500 0.7500 0.7500
Al 0.3751 0.3751 0.3751
Al 0.3751 0.3751 0.8747
Al 0.3751 0.8747 0.3751
Al 0.8747 0.3751 0.3751
CELL_PARAMETERS angstrom
0.0000 4.0676 4.0676
4.0676 0.0000 4.0676
4.0676 4.0676 0.0000
```



Record 3
First-principles (meta-GGA r2SCAN) data for an optimized crystal structure of Ca2AlZn16, as listed in the Materials Project database. Values from VASP.

## Properties
E_form (eV/f.u.): -3.834

```
&SYSTEM
  ibrav = 0, nat = 19, ntyp = 3
/
ATOMIC_SPECIES
Ca 40.08 Ca.upf
Al 26.98 Al.upf
Zn 65.41 Zn.upf
ATOMIC_POSITIONS crystal
Ca 0.0000 0.0000 0.0000
Ca 0.3228 0.3228 0.3228
Al 0.7570 0.7570 0.7570
Zn 0.0099 0.0099 0.5007
Zn 0.0099 0.5007 0.0099
Zn 0.1622 0.6604 0.6604
Zn 0.3123 0.3123 0.8217
Zn 0.3123 0.8217 0.3123
Zn 0.3642 0.6608 0.9574
Zn 0.3642 0.9574 0.6608
Zn 0.5007 0.0099 0.0099
Zn 0.5605 0.5605 0.5605
Zn 0.6604 0.1622 0.6604
Zn 0.6604 0.6604 0.1622
Zn 0.6608 0.3642 0.9574
Zn 0.6608 0.9574 0.3642
Zn 0.8217 0.3123 0.3123
Zn 0.9574 0.3642 0.6608
Zn 0.9574 0.6608 0.3642
CELL_PARAMETERS angstrom
4.4774 2.5850 4.3600
-4.4774 2.5850 4.3600
0.0000 -5.1700 4.3600
```



Record 4
First-principles (meta-GGA r2SCAN) data for an optimized crystal structure of CaAl2Zn2, as listed in the Materials Project database. Values from VASP.

## Properties
E_form (eV/f.u.): -1.672

```
&SYSTEM
  ibrav = 0, nat = 5, ntyp = 3
/
ATOMIC_SPECIES
Ca 40.08 Ca.upf
Al 26.98 Al.upf
Zn 65.41 Zn.upf
ATOMIC_POSITIONS crystal
Ca 0.0000 0.0000 0.0000
Al 0.2500 0.7500 0.5000
Al 0.7500 0.2500 0.5000
Zn 0.3919 0.3919 0.0000
Zn 0.6081 0.6081 0.0000
CELL_PARAMETERS angstrom
-2.0407 2.0407 5.6967
2.0407 -2.0407 5.6967
2.0407 2.0407 -5.6967
```



Record 5
First-principles (meta-GGA r2SCAN) data for an optimized crystal structure of Al2CdCl8, as listed in the Materials Project database. Values from VASP.

## Properties
E_form (eV/f.u.): -17.386

```
&SYSTEM
  ibrav = 0, nat = 22, ntyp = 3
/
ATOMIC_SPECIES
Al 26.98 Al.upf
Cd 112.41 Cd.upf
Cl 35.45 Cl.upf
ATOMIC_POSITIONS crystal
Al 0.0000 0.0654 0.0000
Al 0.0000 0.9346 0.5000
Al 0.5855 0.4261 0.1991
Al 0.5855 0.5739 0.6991
Cd 0.1455 0.2423 0.2392
Cd 0.1455 0.7577 0.7392
Cl 0.0964 0.3635 0.0405
Cl 0.0964 0.6365 0.5405
Cl 0.2248 0.0839 0.4216
Cl 0.2248 0.9161 0.9216
Cl 0.3618 0.4450 0.7881
Cl 0.3618 0.5550 0.2881
Cl 0.4905 0.1207 0.1807
Cl 0.4905 0.8793 0.6807
Cl 0.6137 0.4233 0.5601
Cl 0.6137 0.5767 0.0601
Cl 0.7446 0.0618 0.9142
Cl 0.7446 0.9382 0.4142
Cl 0.8438 0.4327 0.2969
Cl 0.8438 0.5673 0.7969
Cl 0.9891 0.0734 0.6520
Cl 0.9891 0.9266 0.1520
CELL_PARAMETERS angstrom
7.0933 0.0000 0.0000
0.0000 6.7118 0.0000
-0.5854 0.0000 12.9660
```



Record 6
First-principles (meta-GGA r2SCAN) data for an optimized crystal structure of Er2AlCd, as listed in the Materials Project database. Values from VASP.

## Properties
E_form (eV/f.u.): -1.602

```
&SYSTEM
  ibrav = 0, nat = 4, ntyp = 3
/
ATOMIC_SPECIES
Er 167.26 Er.upf
Al 26.98 Al.upf
Cd 112.41 Cd.upf
ATOMIC_POSITIONS crystal
Er 0.2500 0.2500 0.2500
Er 0.7500 0.7500 0.7500
Al 0.0000 0.0000 0.0000
Cd 0.5000 0.5000 0.5000
CELL_PARAMETERS angstrom
0.0000 3.6215 3.6215
3.6215 0.0000 3.6215
3.6215 3.6215 0.0000
```



Record 7
First-principles (meta-GGA r2SCAN) data for an optimized crystal structure of Ho2AlCd, as listed in the Materials Project database. Values from VASP.

## Properties
E_form (eV/f.u.): -1.642

```
&SYSTEM
  ibrav = 0, nat = 4, ntyp = 3
/
ATOMIC_SPECIES
Ho 164.93 Ho.upf
Al 26.98 Al.upf
Cd 112.41 Cd.upf
ATOMIC_POSITIONS crystal
Ho 0.2500 0.2500 0.2500
Ho 0.7500 0.7500 0.7500
Al 0.0000 0.0000 0.0000
Cd 0.5000 0.5000 0.5000
CELL_PARAMETERS angstrom
0.0000 3.6411 3.6411
3.6411 0.0000 3.6411
3.6411 3.6411 0.0000
```



Record 8
First-principles (meta-GGA r2SCAN) data for an optimized crystal structure of Sc2AlCd, as listed in the Materials Project database. Values from VASP.

## Properties
E_form (eV/f.u.): -1.549

```
&SYSTEM
  ibrav = 0, nat = 4, ntyp = 3
/
ATOMIC_SPECIES
Sc 44.96 Sc.upf
Al 26.98 Al.upf
Cd 112.41 Cd.upf
ATOMIC_POSITIONS crystal
Sc 0.2500 0.2500 0.2500
Sc 0.7500 0.7500 0.7500
Al 0.0000 0.0000 0.0000
Cd 0.5000 0.5000 0.5000
CELL_PARAMETERS angstrom
0.0000 3.4595 3.4595
3.4595 0.0000 3.4595
3.4595 3.4595 0.0000
```



Record 9
First-principles (meta-GGA r2SCAN) data for an optimized crystal structure of CeAl4, as listed in the Materials Project database. Values from VASP.

## Properties
E_form (eV/f.u.): -1.734

```
&SYSTEM
  ibrav = 0, nat = 5, ntyp = 2
/
ATOMIC_SPECIES
Ce 140.12 Ce.upf
Al 26.98 Al.upf
ATOMIC_POSITIONS crystal
Ce 0.0000 0.0000 0.0000
Al 0.2500 0.7500 0.5000
Al 0.3874 0.3874 0.0000
Al 0.6126 0.6126 0.0000
Al 0.7500 0.2500 0.5000
CELL_PARAMETERS angstrom
-2.1365 2.1365 5.6172
2.1365 -2.1365 5.6172
2.1365 2.1365 -5.6172
```



Record 10
First-principles (meta-GGA r2SCAN) data for an optimized crystal structure of CeAl20Cr2, as listed in the Materials Project database. Values from VASP.

## Properties
E_form (eV/f.u.): -3.933

```
&SYSTEM
  ibrav = 0, nat = 46, ntyp = 3
/
ATOMIC_SPECIES
Ce 140.12 Ce.upf
Al 26.98 Al.upf
Cr 52.00 Cr.upf
ATOMIC_POSITIONS crystal
Ce 0.1250 0.1250 0.1250
Ce 0.8750 0.8750 0.8750
Al 0.0000 0.0000 0.0000
Al 0.0000 0.0000 0.5000
Al 0.0000 0.5000 0.0000
Al 0.0569 0.3262 0.3262
Al 0.0569 0.3262 0.7907
Al 0.0569 0.7907 0.3262
Al 0.2093 0.6738 0.6738
Al 0.2093 0.6738 0.9431
Al 0.2093 0.9431 0.6738
Al 0.2393 0.2393 0.5107
Al 0.2393 0.5107 0.2393
Al 0.2393 0.5107 0.5107
Al 0.3262 0.0569 0.3262
Al 0.3262 0.0569 0.7907
Al 0.3262 0.3262 0.0569
Al 0.3262 0.3262 0.7907
Al 0.3262 0.7907 0.0569
Al 0.3262 0.7907 0.3262
Al 0.4893 0.4893 0.7607
Al 0.4893 0.7607 0.4893
Al 0.4893 0.7607 0.7607
Al 0.5000 0.0000 0.0000
Al 0.5107 0.2393 0.2393
Al 0.5107 0.2393 0.5107
Al 0.5107 0.5107 0.2393
Al 0.6738 0.2093 0.6738
Al 0.6738 0.2093 0.9431
Al 0.6738 0.6738 0.2093
Al 0.6738 0.6738 0.9431
Al 0.6738 0.9431 0.2093
Al 0.6738 0.9431 0.6738
Al 0.7607 0.4893 0.4893
Al 0.7607 0.4893 0.7607
Al 0.7607 0.7607 0.4893
Al 0.7907 0.0569 0.3262
Al 0.7907 0.3262 0.0569
Al 0.7907 0.3262 0.3262
Al 0.9431 0.2093 0.6738
Al 0.9431 0.6738 0.2093
Al 0.9431 0.6738 0.6738
Cr 0.0000 0.5000 0.5000
Cr 0.5000 0.0000 0.5000
Cr 0.5000 0.5000 0.0000
Cr 0.5000 0.5000 0.5000
CELL_PARAMETERS angstrom
0.0000 7.1812 7.1812
7.1812 0.0000 7.1812
7.1812 7.1812 0.0000
```



Record 11
First-principles (meta-GGA r2SCAN) data for an optimized crystal structure of CeAlCu4, as listed in the Materials Project database. Values from VASP.

## Properties
E_form (eV/f.u.): -1.551

```
&SYSTEM
  ibrav = 0, nat = 6, ntyp = 3
/
ATOMIC_SPECIES
Ce 140.12 Ce.upf
Al 26.98 Al.upf
Cu 63.55 Cu.upf
ATOMIC_POSITIONS crystal
Ce 0.0000 0.0000 0.0000
Al 0.5000 0.5000 0.5000
Cu 0.0000 0.5000 0.5000
Cu 0.3326 0.6674 0.0000
Cu 0.5000 0.0000 0.5000
Cu 0.6674 0.3326 0.0000
CELL_PARAMETERS angstrom
2.5713 -4.3924 0.0000
2.5713 4.3924 0.0000
0.0000 0.0000 4.1449
```



Record 12
First-principles (meta-GGA r2SCAN) data for an optimized crystal structure of CeAl2Cu3, as listed in the Materials Project database. Values from VASP.

## Properties
E_form (eV/f.u.): -2.389

```
&SYSTEM
  ibrav = 0, nat = 6, ntyp = 3
/
ATOMIC_SPECIES
Ce 140.12 Ce.upf
Al 26.98 Al.upf
Cu 63.55 Cu.upf
ATOMIC_POSITIONS crystal
Ce 0.0000 0.0000 0.0000
Al 0.0000 0.5000 0.5000
Al 0.5000 0.0000 0.5000
Cu 0.3389 0.6611 0.0000
Cu 0.5000 0.5000 0.5000
Cu 0.6611 0.3389 0.0000
CELL_PARAMETERS angstrom
2.6526 -4.4362 0.0000
2.6526 4.4362 0.0000
0.0000 0.0000 4.1477
```



Number 1: magnetic moment 0.00 μB per cell. Number 2: magnetic moment 0.00 μB per cell. Number 3: magnetic moment 0.00 μB per cell. Number 4: magnetic moment 0.00 μB per cell. Number 5: magnetic moment 0.00 μB per cell. Number 6: magnetic moment 0.00 μB per cell. Number 7: magnetic moment 0.00 μB per cell. Number 8: magnetic moment 0.00 μB per cell. Number 9: magnetic moment 0.97 μB per cell. Number 10: magnetic moment 5.43 μB per cell. Number 11: magnetic moment 0.88 μB per cell. Number 12: magnetic moment 0.83 μB per cell.